# TaN

TaN after structural relaxation (GGA-PBE, the Materials Project database).

Values from the calculation:
- V (Å³/atom) = 12.52
- formation energy from the elements (meV per atom) = -889
- MP2020-corrected energy (eV/atom) = -10.986
- space-group type = P1, No. 1

a b c (Å): 10.8667 10.7995 10.7131
angles (deg): 91.35 92.80 85.58
Last column: nearest neighbours and their distance in Å.
Positions (direct):
Ta1 0.8282 0.5450 0.9982  5 N 2.05-2.19
Ta2 0.0761 0.7260 0.0302  4 N 1.97-2.12
Ta3 0.4944 0.6182 0.1516  3 N 1.98-2.15
Ta4 0.2166 0.8859 0.2816  4 N 2.17-2.20
Ta5 0.0052 0.7723 0.7630  4 N 2.06-2.11
Ta6 0.9113 0.4447 0.2397  4 N 2.06-2.16
Ta7 0.3110 0.0614 0.4525  4 N 2.12-2.17
Ta8 0.1913 0.2501 0.2852  4 N 2.05-2.16
Ta9 0.7742 0.2019 0.9494  4 N 2.07-2.28
Ta10 0.9523 0.9983 0.2945  5 N 2.07-2.22
Ta11 0.0102 0.1775 0.7945  3 N 2.03-2.14
Ta12 0.0540 0.9630 0.5646  5 N 2.08-2.23
Ta13 0.8071 0.8359 0.4577  3 N 2.10-2.16
Ta14 0.5601 0.1862 0.7242  4 N 2.05-2.29
Ta15 0.7921 0.3302 0.6950  5 N 2.08-2.19
Ta16 0.4218 0.3866 0.2776  3 N 2.16-2.21
Ta17 0.7418 0.5975 0.3991  2 N 2.06-2.21
Ta18 0.7216 0.7603 0.1471  4 N 2.02-2.19
Ta19 0.5593 0.1528 0.4170  4 N 2.07-2.29
Ta20 0.9988 0.2756 0.0396  3 N 2.07-2.20
Ta21 0.5091 0.8701 0.3684  3 N 2.04-2.21
Ta22 0.2142 0.4557 0.0914  4 N 2.02-2.16
Ta23 0.3137 0.8211 0.5451  3 N 2.07-2.15
Ta24 0.5888 0.7582 0.8758  5 N 2.13-2.27
Ta25 0.2906 0.1425 0.7181  4 N 2.05-2.14
Ta26 0.6735 0.3198 0.2057  3 N 2.03-2.24
Ta27 0.8217 0.2653 0.4248  5 N 2.10-2.32
Ta28 0.2791 0.6163 0.3383  4 N 2.13-2.28
Ta29 0.3497 0.3259 0.5236  4 N 2.05-2.21
Ta30 0.5391 0.0482 0.9321  2 N 2.02-2.14
Ta31 0.9676 0.4895 0.5094  4 N 2.08-2.12
Ta32 0.7772 0.6284 0.6791  2 N 2.06-2.09
Ta33 0.5519 0.9170 0.6489  2 N 2.02-2.20
Ta34 0.4004 0.8907 0.1064  5 N 2.01-2.17
Ta35 0.7209 0.0292 0.1419  6 N 2.10-2.32
Ta36 0.6006 0.4124 0.4978  3 N 2.11-2.17
Ta37 0.4638 0.3157 0.0314  4 N 2.04-2.20
Ta38 0.0151 0.6968 0.3052  4 N 2.01-2.19
Ta39 0.7876 0.9430 0.8365  4 N 2.05-2.26
Ta40 0.4697 0.6079 0.6212  3 N 2.03-2.24
Ta41 0.2677 0.1415 0.9989  6 N 2.11-2.34
Ta42 0.0229 0.4609 0.8342  6 N 2.13-2.29
Ta43 0.0515 0.0050 0.0318  4 N 2.07-2.24
Ta44 0.6123 0.4974 0.8449  4 N 2.05-2.24
Ta45 0.2928 0.3880 0.8216  6 N 2.09-2.22
Ta46 0.3445 0.6376 0.8714  4 N 2.00-2.16
Ta47 0.7892 0.0586 0.5919  5 N 2.13-2.21
Ta48 0.1748 0.6092 0.6016  4 N 1.95-2.18
Ta49 0.0833 0.2355 0.5370  4 N 2.08-2.31
Ta50 0.2577 0.8986 0.7923  5 N 2.01-2.17
N1 0.3182 0.5352 0.6979  4 Ta 1.95-2.16
N2 0.8143 0.4867 0.8077  5 Ta 2.08-2.27
N3 0.4977 0.7567 0.5161  3 Ta 2.03-2.10
N4 0.7043 0.1578 0.2987  4 Ta 2.03-2.19
N5 0.3737 0.9746 0.9318  4 Ta 2.02-2.19
N6 0.1396 0.3033 0.9090  5 Ta 2.16-2.34
N7 0.1522 0.6211 0.1757  4 Ta 2.05-2.19
N8 0.1110 0.5750 0.4251  4 Ta 2.02-2.17
N9 0.4056 0.2117 0.8622  6 Ta 2.10-2.32
N10 0.9926 0.3321 0.3889  4 Ta 2.08-2.15
N11 0.6461 0.6146 0.0113  5 Ta 2.07-2.29
N12 0.4326 0.1429 0.5863  4 Ta 2.05-2.21
N13 0.9877 0.3382 0.6796  4 Ta 2.13-2.15
N14 0.2315 0.9940 0.1140  4 Ta 2.08-2.18
N15 0.1470 0.0761 0.3345  3 Ta 2.06-2.20
N16 0.1507 0.7898 0.6426  3 Ta 1.99-2.15
N17 0.6590 0.3107 0.8303  4 Ta 2.05-2.12
N18 0.3682 0.7513 0.2410  4 Ta 2.13-2.17
N19 0.9924 0.5984 0.6746  5 Ta 2.10-2.34
N20 0.6173 0.6850 0.2727  3 Ta 1.98-2.06
N21 0.6730 0.2310 0.5629  6 Ta 2.14-2.30
N22 0.8743 0.6327 0.1762  4 Ta 2.09-2.16
N23 0.0419 0.8594 0.1756  5 Ta 2.12-2.31
N24 0.8155 0.3637 0.0820  5 Ta 2.14-2.28
N25 0.8333 0.1237 0.7776  4 Ta 2.05-2.17
N26 0.4154 0.4907 0.4548  5 Ta 2.13-2.28
N27 0.0820 0.3766 0.1820  4 Ta 2.02-2.07
N28 0.4208 0.7799 0.7482  5 Ta 2.17-2.43
N29 0.9944 0.8448 0.4224  4 Ta 2.01-2.18
N30 0.8958 0.8951 0.6526  3 Ta 2.06-2.18
N31 0.6489 0.9655 0.4834  5 Ta 2.16-2.29
N32 0.5546 0.9474 0.1944  3 Ta 2.01-2.18
N33 0.9594 0.6398 0.9191  3 Ta 1.97-2.19
N34 0.1822 0.7763 0.8982  2 Ta 1.98-2.01
N35 0.3774 0.2153 0.3584  5 Ta 2.11-2.16
N36 0.9549 0.8832 0.9192  3 Ta 2.05-2.10
N37 0.6908 0.8002 0.7194  4 Ta 2.02-2.26
N38 0.1535 0.0584 0.8549  3 Ta 2.03-2.15
N39 0.3132 0.2808 0.1378  5 Ta 2.10-2.21
N40 0.4451 0.4704 0.9244  4 Ta 2.04-2.18
N41 0.7988 0.8972 0.2687  4 Ta 2.07-2.14
N42 0.9120 0.1080 0.1231  4 Ta 2.08-2.32
N43 0.1942 0.5324 0.9163  4 Ta 2.06-2.21
N44 0.6133 0.1827 0.0588  5 Ta 2.10-2.24
N45 0.2195 0.3124 0.6542  4 Ta 2.05-2.10
N46 0.7864 0.4498 0.5375  5 Ta 2.08-2.32
N47 0.9352 0.1039 0.4677  5 Ta 2.10-2.31
N48 0.4334 0.7340 0.0047  3 Ta 2.00-2.08
N49 0.6847 0.8897 0.9928  5 Ta 2.16-2.32
N50 0.2413 0.9878 0.6193  5 Ta 2.05-2.17

=====

# TmCuSe2

TmCuSe2 after structural relaxation (GGA-PBE, the Materials Project database).

Values from the calculation:
- V (Å³/atom) = 22.69
- largest piezoelectric modulus (C/m²) = 0.46
- formation energy from the elements (meV per atom) = -1434
- MP2020-corrected energy (eV/atom) = -5.325
- space-group type = P3m1, No. 156

a b c (Å): 4.0539 4.0539 6.3767
angles (deg): 90.00 90.00 120.00
Last column: nearest neighbours and their distance in Å.
Positions (direct):
Tm1 0.0000 0.0000 0.8006  6 Se 2.78-2.90
Cu1 0.6667 0.3333 0.1836  4 Se 2.44-2.45
Se1 0.3333 0.6667 0.0699  3 Cu 2.45
Se2 0.6667 0.3333 0.5667  1 Cu 2.44

=====

# Sb7F29

Sb7F29 after structural relaxation (GGA-PBE, the Materials Project database).

Values from the calculation:
- V (Å³/atom) = 16.61
- formation energy from the elements (meV per atom) = -2644
- MP2020-corrected energy (eV/atom) = -4.990
- space-group type = P2_1/c, No. 14

a b c (Å): 13.7352 8.6835 20.3520
angles (deg): 80.20 90.00 90.00
Last column: nearest neighbours and their distance in Å.
Positions (direct):
Sb1 0.2457 0.9797 0.1314  1 F 1.89
Sb2 0.7457 0.0203 0.3686  1 F 1.89
Sb3 0.7543 0.0203 0.8686  1 F 1.89
Sb4 0.2543 0.9797 0.6314  1 F 1.89
Sb5 0.2376 0.5524 0.2513  6 F 1.89-2.02
Sb6 0.7376 0.4476 0.2487  6 F 1.89-2.02
Sb7 0.7624 0.4476 0.7487  6 F 1.89-2.02
Sb8 0.2624 0.5524 0.7513  6 F 1.89-2.02
Sb9 0.9420 0.8893 0.1401  6 F 1.88-2.04
Sb10 0.4420 0.1107 0.3599  6 F 1.88-2.04
Sb11 0.0580 0.1107 0.8599  6 F 1.88-2.04
Sb12 0.5580 0.8893 0.6401  6 F 1.88-2.04
Sb13 0.5209 0.8771 0.1284  6 F 1.88-2.03
Sb14 0.0209 0.1229 0.3716  6 F 1.88-2.03
Sb15 0.4791 0.1229 0.8716  6 F 1.88-2.03
Sb16 0.9791 0.8771 0.6284  6 F 1.88-2.03
Sb17 0.4631 0.3373 0.1137  2 F 1.91-2.02
Sb18 0.9631 0.6627 0.3863  2 F 1.91-2.02
Sb19 0.5369 0.6627 0.8863  2 F 1.91-2.02
Sb20 0.0369 0.3373 0.6137  2 F 1.91-2.02
Sb21 0.0309 0.3452 0.1111  2 F 1.91-2.02
Sb22 0.5309 0.6548 0.3889  2 F 1.91-2.02
Sb23 0.9691 0.6548 0.8889  2 F 1.91-2.02
Sb24 0.4691 0.3452 0.6111  2 F 1.91-2.02
Sb25 0.2500 0.5623 0.9945  6 F 1.89-1.98
Sb26 0.7500 0.4377 0.5055  6 F 1.89-1.98
Sb27 0.7500 0.4377 0.0055  6 F 1.89-1.98
Sb28 0.2500 0.5623 0.4945  6 F 1.89-1.98
F1 0.2227 0.9907 0.2219  1 Sb 1.89
F2 0.7227 0.0093 0.2781  1 Sb 1.89
F3 0.7773 0.0093 0.7781  1 Sb 1.89
F4 0.2773 0.9907 0.7219  1 Sb 1.89
F5 0.2416 0.7155 0.1679  1 Sb 2.02
F6 0.7416 0.2845 0.3321  1 Sb 2.02
F7 0.7584 0.2845 0.8321  1 Sb 2.02
F8 0.2584 0.7155 0.6679  1 Sb 2.02
F9 0.0843 0.8996 0.1217  1 Sb 1.99
F10 0.5843 0.1004 0.3783  1 Sb 1.99
F11 0.9157 0.1004 0.8783  1 Sb 1.99
F12 0.4157 0.8996 0.6217  1 Sb 1.99
F13 0.3966 0.9013 0.1762  1 Sb 1.99
F14 0.8966 0.0987 0.3238  1 Sb 1.99
F15 0.6034 0.0987 0.8238  1 Sb 1.99
F16 0.1034 0.9013 0.6762  1 Sb 1.99
F17 0.3448 0.1973 0.1250  1 Sb 2.02
F18 0.8448 0.8027 0.3750  1 Sb 2.02
F19 0.6552 0.8027 0.8750  1 Sb 2.02
F20 0.1552 0.1973 0.6250  1 Sb 2.02
F21 0.1476 0.2025 0.1197  1 Sb 2.02
F22 0.6476 0.7975 0.3803  1 Sb 2.02
F23 0.8524 0.7975 0.8803  1 Sb 2.02
F24 0.3524 0.2025 0.6197  1 Sb 2.02
F25 0.9577 0.1214 0.1423  2 Sb 2.04-2.18
F26 0.4577 0.8786 0.3577  2 Sb 2.04-2.18
F27 0.0423 0.8786 0.8577  2 Sb 2.04-2.18
F28 0.5423 0.1214 0.6423  2 Sb 2.04-2.18
F29 0.5363 0.1098 0.1272  2 Sb 2.03-2.19
F30 0.0363 0.8902 0.3728  2 Sb 2.03-2.19
F31 0.4637 0.8902 0.8728  2 Sb 2.03-2.19
F32 0.9637 0.1098 0.6272  2 Sb 2.03-2.19
F33 0.3450 0.5195 0.0683  1 Sb 1.98
F34 0.8450 0.4805 0.4317  1 Sb 1.98
F35 0.6550 0.4805 0.9317  1 Sb 1.98
F36 0.1550 0.5195 0.5683  1 Sb 1.98
F37 0.1477 0.5244 0.0639  1 Sb 1.98
F38 0.6477 0.4756 0.4361  1 Sb 1.98
F39 0.8523 0.4756 0.9361  1 Sb 1.98
F40 0.3523 0.5244 0.5639  1 Sb 1.98
F41 0.3411 0.6623 0.2850  1 Sb 1.90
F42 0.8411 0.3377 0.2150  1 Sb 1.90
F43 0.6589 0.3377 0.7150  1 Sb 1.90
F44 0.1589 0.6623 0.7850  1 Sb 1.90
F45 0.3322 0.4367 0.2099  1 Sb 1.92
F46 0.8322 0.5633 0.2901  1 Sb 1.92
F47 0.6678 0.5633 0.7901  1 Sb 1.92
F48 0.1678 0.4367 0.7099  1 Sb 1.92
F49 0.1369 0.4558 0.2061  1 Sb 1.93
F50 0.6369 0.5442 0.2939  1 Sb 1.93
F51 0.8631 0.5442 0.7939  1 Sb 1.93
F52 0.3631 0.4558 0.7061  1 Sb 1.93
F53 0.1403 0.6766 0.2840  1 Sb 1.91
F54 0.6403 0.3234 0.2160  1 Sb 1.91
F55 0.8597 0.3234 0.7160  1 Sb 1.91
F56 0.3597 0.6766 0.7840  1 Sb 1.91
F57 0.2293 0.3988 0.3289  1 Sb 1.89
F58 0.7293 0.6012 0.1711  1 Sb 1.89
F59 0.7707 0.6012 0.6711  1 Sb 1.89
F60 0.2707 0.3988 0.8289  1 Sb 1.89
F61 0.9466 0.6715 0.1373  1 Sb 1.90
F62 0.4466 0.3285 0.3627  1 Sb 1.90
F63 0.0534 0.3285 0.8627  1 Sb 1.90
F64 0.5534 0.6715 0.6373  1 Sb 1.90
F65 0.9740 0.8567 0.2324  1 Sb 1.90
F66 0.4740 0.1433 0.2676  1 Sb 1.90
F67 0.0260 0.1433 0.7676  1 Sb 1.90
F68 0.5260 0.8567 0.7324  1 Sb 1.90
F69 0.8093 0.9093 0.1595  1 Sb 1.88
F70 0.3093 0.0907 0.3405  1 Sb 1.88
F71 0.1907 0.0907 0.8405  1 Sb 1.88
F72 0.6907 0.9093 0.6595  1 Sb 1.88
F73 0.9212 0.9474 0.0475  1 Sb 1.89
F74 0.4212 0.0526 0.4525  1 Sb 1.89
F75 0.0788 0.0526 0.9525  1 Sb 1.89
F76 0.5788 0.9474 0.5475  1 Sb 1.89
F77 0.4991 0.6579 0.1345  1 Sb 1.91
F78 0.9991 0.3421 0.3655  1 Sb 1.91
F79 0.5009 0.3421 0.8655  1 Sb 1.91
F80 0.0009 0.6579 0.6345  1 Sb 1.91
F81 0.5801 0.8483 0.2132  1 Sb 1.88
F82 0.0801 0.1517 0.2868  1 Sb 1.88
F83 0.4199 0.1517 0.7868  1 Sb 1.88
F84 0.9199 0.8483 0.7132  1 Sb 1.88
F85 0.6351 0.8850 0.0774  1 Sb 1.88
F86 0.1351 0.1150 0.4226  1 Sb 1.88
F87 0.3649 0.1150 0.9226  1 Sb 1.88
F88 0.8649 0.8850 0.5774  1 Sb 1.88
F89 0.4373 0.9269 0.0531  1 Sb 1.91
F90 0.9373 0.0731 0.4469  1 Sb 1.91
F91 0.5627 0.0731 0.9469  1 Sb 1.91
F92 0.0627 0.9269 0.5531  1 Sb 1.91
F93 0.4669 0.3215 0.0211  1 Sb 1.91
F94 0.9669 0.6785 0.4789  1 Sb 1.91
F95 0.5331 0.6785 0.9789  1 Sb 1.91
F96 0.0331 0.3215 0.5211  1 Sb 1.91
F97 0.0214 0.3170 0.0200  1 Sb 1.91
F98 0.5214 0.6830 0.4800  1 Sb 1.91
F99 0.9786 0.6830 0.9800  1 Sb 1.91
F100 0.4786 0.3170 0.5200  1 Sb 1.91
F101 0.1527 0.6044 0.9263  1 Sb 1.92
F102 0.6527 0.3956 0.5737  1 Sb 1.92
F103 0.8473 0.3956 0.0737  1 Sb 1.92
F104 0.3473 0.6044 0.4263  1 Sb 1.92
F105 0.2495 0.7729 0.0079  1 Sb 1.89
F106 0.7495 0.2271 0.4921  1 Sb 1.89
F107 0.7505 0.2271 0.9921  1 Sb 1.89
F108 0.2505 0.7729 0.5079  1 Sb 1.89
F109 0.2481 0.3468 0.9908  1 Sb 1.89
F110 0.7481 0.6532 0.5092  1 Sb 1.89
F111 0.7519 0.6532 0.0092  1 Sb 1.89
F112 0.2519 0.3468 0.4908  1 Sb 1.89
F113 0.3530 0.6019 0.9303  1 Sb 1.92
F114 0.8530 0.3981 0.5697  1 Sb 1.92
F115 0.6470 0.3981 0.0697  1 Sb 1.92
F116 0.1470 0.6019 0.4303  1 Sb 1.92

=====

# PrCu2Si2

PrCu2Si2 after structural relaxation (GGA-PBE, the Materials Project database).

Values from the calculation:
- V (Å³/atom) = 16.72
- formation energy from the elements (meV per atom) = -556
- MP2020-corrected energy (eV/atom) = -5.322
- space-group type = I4/mmm, No. 139

a b c (Å): 5.7710 5.7710 5.7710
angles (deg): 138.48 138.48 60.17
Last column: nearest neighbours and their distance in Å.
Positions (direct):
Pr1 0.0000 0.0000 0.0000  8 Si 3.14, 8 Cu 3.23
Cu1 0.7500 0.2500 0.5000  4 Si 2.42
Cu2 0.2500 0.7500 0.5000  4 Si 2.42
Si1 0.6213 0.6213 0.0000  4 Cu 2.42, 1 Si 2.42
Si2 0.3787 0.3787 0.0000  4 Cu 2.42, 1 Si 2.42

=====

- Among the records above, which one has the lowest formation energy from the elements?
  Sb7F29